Record 1
The following is a GGA+U calculation of an optimized crystal structure of MgMn6O8F4, from the Materials Project database.

abc: 5.972 5.972 7.516
angles: 110.34 110.34 63.10
Fractional coordinates of all 19 atoms:
Mg1 0.000 0.000 0.000
Mn1 0.235 0.765 0.500
Mn2 0.448 0.552 0.000
Mn3 0.471 0.005 0.945
Mn4 0.568 0.104 0.369
Mn5 0.896 0.432 0.631
Mn6 0.995 0.529 0.055
O1 0.190 0.730 0.178
O2 0.241 0.343 0.842
O3 0.243 0.204 0.146
O4 0.270 0.810 0.822
O5 0.540 0.460 0.500
O6 0.657 0.759 0.158
O7 0.796 0.757 0.854
O8 0.931 0.069 0.500
F1 0.034 0.555 0.474
F2 0.445 0.966 0.526
F3 0.689 0.209 0.122
F4 0.791 0.311 0.878

Its space group is C2 (5). The value obtained for the energy above the most stable polymorph in this dataset is 0.0685 eV/atom. As for the total magnetic moment: 1.263 μB per atom. The calculation puts the total energy at -6.795 eV/atom.



Record 2
The following is a GGA+U calculation of an optimized crystal structure of Pr2Mn2Se2O3, from the Materials Project database.

abc: 9.984 9.984 9.984
angles: 155.89 155.89 34.36
Fractional coordinates of all 9 atoms:
Pr1 0.189 0.189 0.000
Pr2 0.811 0.811 0.000
Mn1 0.000 0.500 0.500
Mn2 0.500 0.000 0.500
Se1 0.399 0.399 0.000
Se2 0.601 0.601 0.000
O1 0.000 0.000 0.000
O2 0.250 0.750 0.500
O3 0.750 0.250 0.500

Its space group is I4/mmm (139). As for the total magnetic moment: 1.111 μB per atom. The calculation puts the total energy at -7.281 eV/atom.



Record 3
The following is a GGA+U calculation of an optimized crystal structure of CsUVO6, from the Materials Project database.

abc: 7.840 8.495 10.628
angles: 90.00 106.07 90.00
Fractional coordinates of all 36 atoms:
Cs1 0.035 0.233 0.364
Cs2 0.035 0.267 0.864
Cs3 0.965 0.733 0.136
Cs4 0.965 0.767 0.636
U1 0.490 0.018 0.180
U2 0.490 0.482 0.680
U3 0.510 0.518 0.320
U4 0.510 0.982 0.820
V1 0.401 0.648 0.942
V2 0.401 0.852 0.442
V3 0.599 0.148 0.558
V4 0.599 0.352 0.058
O1 0.187 0.634 0.930
O2 0.187 0.866 0.430
O3 0.251 0.060 0.120
O4 0.251 0.440 0.620
O5 0.273 0.026 0.760
O6 0.273 0.474 0.260
O7 0.427 0.711 0.783
O8 0.427 0.789 0.283
O9 0.469 0.060 0.393
O10 0.469 0.440 0.893
O11 0.471 0.655 0.505
O12 0.471 0.845 0.005
O13 0.529 0.155 0.995
O14 0.529 0.345 0.495
O15 0.531 0.560 0.107
O16 0.531 0.940 0.607
O17 0.573 0.211 0.717
O18 0.573 0.289 0.217
O19 0.727 0.526 0.740
O20 0.727 0.974 0.240
O21 0.749 0.560 0.380
O22 0.749 0.940 0.880
O23 0.813 0.134 0.570
O24 0.813 0.366 0.070

Its space group is P2_1/c (14). The value obtained for the energy above the most stable polymorph in this dataset is 0.0000 eV/atom. As for the total magnetic moment: 0.000 μB per atom. The calculation puts the total energy at -8.027 eV/atom.



Record 4
The following is a GGA+U calculation of an optimized crystal structure of Ca3Fe2W2O12, from the Materials Project database.

abc: 9.622 9.622 9.622
angles: 33.54 33.54 33.54
Fractional coordinates of all 19 atoms:
Ca1 0.000 0.000 0.000
Ca2 0.244 0.244 0.244
Ca3 0.493 0.493 0.493
Fe1 0.375 0.375 0.375
Fe2 0.872 0.872 0.872
W1 0.123 0.123 0.123
W2 0.626 0.626 0.626
O1 0.001 0.495 0.495
O2 0.012 0.012 0.484
O3 0.012 0.484 0.012
O4 0.250 0.250 0.754
O5 0.250 0.754 0.250
O6 0.254 0.749 0.749
O7 0.484 0.012 0.012
O8 0.495 0.001 0.495
O9 0.495 0.495 0.001
O10 0.749 0.254 0.749
O11 0.749 0.749 0.254
O12 0.754 0.250 0.250

Its space group is R3m (160). The value obtained for the energy above the most stable polymorph in this dataset is 0.0508 eV/atom. As for the total magnetic moment: 0.526 μB per atom. The calculation puts the total energy at -7.021 eV/atom.



Record 5
The following is a GGA+U calculation of an optimized crystal structure of Na3CoO3, from the Materials Project database.

abc: 6.030 5.883 12.587
angles: 90.00 118.55 90.00
Fractional coordinates of all 28 atoms:
Na1 0.081 0.064 0.313
Na2 0.081 0.436 0.813
Na3 0.257 0.518 0.620
Na4 0.257 0.982 0.120
Na5 0.303 0.018 0.598
Na6 0.303 0.482 0.098
Na7 0.697 0.518 0.902
Na8 0.697 0.982 0.402
Na9 0.743 0.018 0.880
Na10 0.743 0.482 0.380
Na11 0.919 0.564 0.187
Na12 0.919 0.936 0.687
Co1 0.321 0.648 0.414
Co2 0.321 0.852 0.914
Co3 0.679 0.148 0.086
Co4 0.679 0.352 0.586
O1 0.061 0.741 0.933
O2 0.061 0.759 0.433
O3 0.341 0.738 0.281
O4 0.341 0.762 0.781
O5 0.363 0.182 0.937
O6 0.363 0.318 0.437
O7 0.637 0.682 0.563
O8 0.637 0.818 0.063
O9 0.659 0.238 0.219
O10 0.659 0.262 0.719
O11 0.939 0.241 0.567
O12 0.939 0.259 0.067

Its space group is P2_1/c (14). The value obtained for the energy above the most stable polymorph in this dataset is 0.0343 eV/atom. As for the total magnetic moment: 0.571 μB per atom. The calculation puts the total energy at -4.714 eV/atom.



Record 6
The following is a GGA+U calculation of an optimized crystal structure of Li3V3P8O29, from the Materials Project database.

abc: 9.713 9.775 14.265
angles: 88.84 89.93 60.23
Fractional coordinates of all 86 atoms:
Li1 0.000 0.000 0.000
Li2 0.045 0.937 0.504
Li3 0.140 0.608 0.564
Li4 0.273 0.628 0.069
Li5 0.389 0.255 0.902
Li6 0.949 0.268 0.444
V1 0.037 0.508 0.759
V2 0.047 0.374 0.248
V3 0.478 0.939 0.749
V4 0.486 0.504 0.258
V5 0.603 0.940 0.256
V6 0.611 0.370 0.754
P1 0.133 0.621 0.348
P2 0.135 0.154 0.843
P3 0.260 0.022 0.347
P4 0.270 0.619 0.852
P5 0.344 0.859 0.162
P6 0.345 0.719 0.669
P7 0.371 0.280 0.637
P8 0.378 0.277 0.136
P9 0.704 0.606 0.873
P10 0.717 0.601 0.372
P11 0.739 0.156 0.344
P12 0.740 0.023 0.848
P13 0.818 0.249 0.160
P14 0.824 0.860 0.662
P15 0.953 0.724 0.169
P16 0.957 0.253 0.662
O1 0.021 0.181 0.570
O2 0.028 0.743 0.266
O3 0.046 0.732 0.089
O4 0.052 0.138 0.925
O5 0.057 0.136 0.747
O6 0.074 0.695 0.440
O7 0.125 0.593 0.836
O8 0.128 0.199 0.337
O9 0.130 0.467 0.331
O10 0.140 0.313 0.834
O11 0.223 0.428 0.679
O12 0.227 0.278 0.179
O13 0.232 0.950 0.432
O14 0.236 0.739 0.591
O15 0.241 0.939 0.255
O16 0.249 0.933 0.077
O17 0.254 0.738 0.768
O18 0.263 0.693 0.942
O19 0.306 0.586 0.331
O20 0.312 0.021 0.836
O21 0.368 0.290 0.533
O22 0.372 0.278 0.031
O23 0.374 0.428 0.172
O24 0.375 0.130 0.682
O25 0.387 0.854 0.671
O26 0.390 0.681 0.171
O27 0.419 0.456 0.836
O28 0.424 0.013 0.335
O29 0.499 0.559 0.677
O30 0.500 0.865 0.178
O31 0.520 0.129 0.183
O32 0.520 0.277 0.683
O33 0.568 0.601 0.325
O34 0.568 0.758 0.823
O35 0.576 0.030 0.837
O36 0.583 0.319 0.333
O37 0.658 0.403 0.175
O38 0.660 0.870 0.675
O39 0.693 0.026 0.338
O40 0.693 0.467 0.827
O41 0.698 0.200 0.836
O42 0.706 0.605 0.976
O43 0.712 0.751 0.326
O44 0.713 0.597 0.476
O45 0.778 0.857 0.172
O46 0.784 0.287 0.675
O47 0.838 0.137 0.250
O48 0.838 0.162 0.074
O49 0.838 0.949 0.933
O50 0.840 0.143 0.425
O51 0.844 0.939 0.756
O52 0.852 0.931 0.577
O53 0.859 0.596 0.828
O54 0.863 0.451 0.333
O55 0.951 0.293 0.175
O56 0.956 0.681 0.671
O57 0.957 0.562 0.179
O58 0.958 0.408 0.681

Its space group is P1 (1). The value obtained for the energy above the most stable polymorph in this dataset is 0.0097 eV/atom. As for the total magnetic moment: 0.000 μB per atom. The calculation puts the total energy at -7.052 eV/atom.